[1]
A plane-wave DFT calculation with PBE-GGA was carried out for a relaxed structure of Al2Au.

```
3
Lattice="0.0000 3.0317 3.0317 3.0317 0.0000 3.0317 3.0317 3.0317 0.0000" Properties=species:S:1:pos:R:3 pbc="T T T"
Al 4.5475 4.5475 4.5475
Al 1.5158 1.5158 1.5158
Au 0.0000 0.0000 0.0000
```

Summary:
Calculated density ... 7.5 g cm⁻³
Calculated formation energy ... -0.42 eV per atom


[2]
A plane-wave DFT calculation with PBE-GGA was carried out for a relaxed structure of HfVSi.

```
6
Lattice="-2.6391 -2.4074 0.7967 1.4723 -0.5185 3.3104 -4.0506 5.3120 2.6334" Properties=species:S:1:pos:R:3 pbc="T T T"
Hf -0.7250 1.6569 2.6051
Hf -3.9091 2.1922 2.0819
V 0.0000 0.0000 0.0000
V -0.5834 -1.4629 2.0536
Si -2.3131 3.7395 3.6376
Si -2.3210 0.1095 1.0494
```

Summary:
Calculated density ... 8.9 g cm⁻³
Calculated formation energy ... -0.71 eV per atom


[3]
A plane-wave DFT calculation with PBE-GGA was carried out for a relaxed structure of Li10SiP2S12.

```
50
Lattice="-4.2996 -4.4259 6.2333 7.6383 -2.7819 3.2934 0.4534 10.1328 7.5073" Properties=species:S:1:pos:R:3 pbc="T T T"
Li 1.2296 1.2067 4.5552
Li 2.3766 -2.4353 9.4015
Li 5.0589 4.7062 10.2061
Li -0.9993 4.1980 11.2579
Li 4.6903 -0.0537 6.0473
Li -1.0840 -1.1749 7.9094
Li 0.9487 6.2031 8.4338
Li 3.1110 2.7010 13.0302
Li 0.4260 9.5195 7.0530
Li 0.1993 4.4531 3.2993
Li 1.9179 1.9503 8.8784
Li 1.6912 -3.1161 5.1247
Li 4.4481 -2.7869 4.2630
Li -1.0765 -3.6850 5.8089
Li 1.0247 3.5015 6.5877
Li 2.8003 0.1593 10.9915
Li 4.7346 2.1504 8.1873
Li -0.9096 1.5105 9.3919
Li 1.0118 -1.5354 2.7814
Li 2.3598 -4.9365 7.2905
Si 2.0326 4.5148 10.7785
Si 1.8059 -0.5516 7.0248
P 0.3110 6.9500 5.1493
P 0.0843 1.8837 1.3956
P 4.0475 3.7123 5.4277
P -2.1481 -2.1760 3.1440
S 5.4929 2.2347 5.3756
S 2.5183 3.3181 4.0930
S -0.8994 7.8826 8.7442
S -2.5738 6.1590 11.1717
S -0.6522 -1.7579 4.4728
S 4.0790 -3.4810 6.5127
S 3.2717 3.8177 7.3160
S 0.6085 1.0763 11.1769
S 6.1834 -1.2844 3.3532
S 1.5400 0.4067 1.3510
S -0.5736 5.1508 5.6811
S -3.1874 2.4603 9.4704
S 0.3118 1.0070 7.1009
S 3.3893 -0.1138 8.4278
S 2.9435 6.4046 10.2623
S 1.2111 4.6214 12.7737
S 1.8240 7.3409 6.4704
S 6.5192 5.6308 8.4949
S -3.3455 -0.7628 7.1147
S -0.7026 1.9578 3.2831
S 3.5067 2.9584 10.6902
S 0.4688 4.0648 9.3803
S 0.9060 -2.4349 7.5211
S 2.6161 -0.6746 5.0420
```

Summary:
M_tot ... 0.004 μB per cell
Calculated density ... 1.9 g cm⁻³
Calculated formation energy ... -1.23 eV per atom